Here is crystalline Li7Mn5O12 at its relaxed geometry from the Materials Project database. Energies are from PBE+U.

```
Li7Mn5O12
1.0
6.499 0.000 0.000
-0.675 6.870 0.000
-3.123 -0.592 9.899
Li Mn O
14 10 24
direct
0.041 0.031 0.367 Li
0.131 0.141 0.128 Li
0.191 0.207 0.866 Li
0.249 0.751 0.251 Li
0.297 0.280 0.623 Li
0.371 0.361 0.373 Li
0.451 0.453 0.127 Li
0.549 0.547 0.873 Li
0.629 0.639 0.627 Li
0.703 0.720 0.377 Li
0.751 0.249 0.749 Li
0.809 0.793 0.134 Li
0.869 0.859 0.872 Li
0.959 0.969 0.633 Li
0.000 0.500 0.000 Mn
0.077 0.572 0.748 Mn
0.164 0.677 0.499 Mn
0.330 0.832 0.000 Mn
0.419 0.926 0.753 Mn
0.500 0.000 0.500 Mn
0.581 0.074 0.247 Mn
0.670 0.168 0.000 Mn
0.836 0.323 0.501 Mn
0.923 0.428 0.252 Mn
0.016 0.272 0.674 O
0.067 0.781 0.050 O
0.087 0.354 0.429 O
0.168 0.901 0.818 O
0.171 0.442 0.180 O
0.247 0.512 0.931 O
0.257 0.990 0.572 O
0.337 0.062 0.318 O
0.342 0.638 0.690 O
0.418 0.147 0.073 O
0.432 0.720 0.448 O
0.483 0.197 0.817 O
0.517 0.803 0.183 O
0.568 0.280 0.552 O
0.582 0.853 0.927 O
0.658 0.362 0.310 O
0.663 0.938 0.682 O
0.743 0.010 0.428 O
0.753 0.488 0.069 O
0.829 0.558 0.820 O
0.832 0.099 0.182 O
0.913 0.646 0.571 O
0.933 0.219 0.950 O
0.984 0.728 0.326 O
```

Values from the calculation:
ΔE to the lowest computed polymorph in eV per atom: 0.015
DFT formation energy in eV/atom: -2.142

***

Here is crystalline Ca3Fe7Si6O24 at its relaxed geometry from the Materials Project database. Energies are from PBE+U.

```
Ca3Fe7Si6O24
1.0
-6.018 6.018 6.018
6.018 -6.018 6.018
6.018 6.018 -6.018
Ca Fe Si O
6 14 12 48
direct
0.125 0.250 0.375 Ca
0.125 0.375 0.750 Ca
0.250 0.375 0.125 Ca
0.375 0.125 0.250 Ca
0.375 0.750 0.125 Ca
0.750 0.125 0.375 Ca
0.000 0.505 0.500 Fe
0.000 0.995 0.500 Fe
0.250 0.875 0.625 Fe
0.500 0.000 0.505 Fe
0.500 0.000 0.995 Fe
0.505 0.500 0.000 Fe
0.505 0.505 0.505 Fe
0.625 0.250 0.875 Fe
0.625 0.875 0.750 Fe
0.750 0.625 0.875 Fe
0.875 0.625 0.250 Fe
0.875 0.750 0.625 Fe
0.995 0.500 0.000 Fe
0.995 0.995 0.995 Fe
0.122 0.750 0.872 Si
0.122 0.872 0.250 Si
0.250 0.122 0.872 Si
0.250 0.628 0.378 Si
0.378 0.250 0.628 Si
0.378 0.628 0.750 Si
0.628 0.378 0.250 Si
0.628 0.750 0.378 Si
0.750 0.378 0.628 Si
0.750 0.872 0.122 Si
0.872 0.122 0.750 Si
0.872 0.250 0.122 Si
0.008 0.203 0.114 O
0.008 0.304 0.894 O
0.085 0.710 0.691 O
0.085 0.875 0.394 O
0.106 0.625 0.415 O
0.106 0.981 0.691 O
0.114 0.008 0.203 O
0.114 0.606 0.910 O
0.196 0.203 0.590 O
0.196 0.492 0.606 O
0.203 0.114 0.008 O
0.203 0.590 0.196 O
0.297 0.304 0.910 O
0.297 0.492 0.386 O
0.304 0.894 0.008 O
0.304 0.910 0.297 O
0.386 0.297 0.492 O
0.386 0.590 0.894 O
0.394 0.085 0.875 O
0.394 0.809 0.519 O
0.415 0.106 0.625 O
0.415 0.809 0.790 O
0.492 0.386 0.297 O
0.492 0.606 0.196 O
0.519 0.394 0.809 O
0.519 0.625 0.710 O
0.590 0.196 0.203 O
0.590 0.894 0.386 O
0.606 0.196 0.492 O
0.606 0.910 0.114 O
0.625 0.415 0.106 O
0.625 0.710 0.519 O
0.691 0.085 0.710 O
0.691 0.106 0.981 O
0.710 0.519 0.625 O
0.710 0.691 0.085 O
0.790 0.415 0.809 O
0.790 0.875 0.981 O
0.809 0.519 0.394 O
0.809 0.790 0.415 O
0.875 0.394 0.085 O
0.875 0.981 0.790 O
0.894 0.008 0.304 O
0.894 0.386 0.590 O
0.910 0.114 0.606 O
0.910 0.297 0.304 O
0.981 0.691 0.106 O
0.981 0.790 0.875 O
```

Values from the calculation:
DFT formation energy in eV/atom: -2.665

***

Here is crystalline MgMoP2O7 at its relaxed geometry from the Materials Project database. Energies are from PBE+U.

```
MgMoP2O7
1.0
5.007 0.000 0.000
-0.638 5.224 0.000
-0.225 -1.655 5.741
Mg Mo P O
1 1 2 7
direct
0.000 0.000 0.000 Mg
0.580 0.579 0.317 Mo
0.153 0.045 0.455 P
0.976 0.484 0.876 P
0.085 0.217 0.714 O
0.223 0.680 0.994 O
0.284 0.225 0.312 O
0.319 0.853 0.521 O
0.799 0.631 0.756 O
0.823 0.337 0.038 O
0.876 0.929 0.318 O
```

Values from the calculation:
ΔE to the lowest computed polymorph in eV per atom: 0.105
DFT formation energy in eV/atom: -2.450

***

Here is crystalline Cr3FeO6 at its relaxed geometry from the Materials Project database. Energies are from PBE+U.

```
Cr3FeO6
1.0
9.244 0.000 0.000
-0.255 10.057 0.000
-0.183 -1.667 10.671
Cr Fe O
24 8 48
direct
0.000 0.000 0.000 Cr
0.008 0.906 0.242 Cr
0.050 0.190 0.498 Cr
0.121 0.498 0.702 Cr
0.153 0.094 0.771 Cr
0.171 0.784 0.508 Cr
0.271 0.579 0.038 Cr
0.337 0.290 0.024 Cr
0.397 0.835 0.292 Cr
0.410 0.568 0.827 Cr
0.427 0.087 0.534 Cr
0.476 0.010 0.833 Cr
0.497 0.798 0.551 Cr
0.554 0.280 0.248 Cr
0.641 0.487 0.983 Cr
0.657 0.300 0.753 Cr
0.685 0.271 0.485 Cr
0.694 0.989 0.362 Cr
0.724 0.204 0.004 Cr
0.731 0.569 0.677 Cr
0.877 0.216 0.251 Cr
0.932 0.774 0.640 Cr
0.970 0.653 0.942 Cr
0.989 0.369 0.968 Cr
0.000 0.484 0.418 Fe
0.210 0.134 0.289 Fe
0.217 0.807 0.772 Fe
0.333 0.553 0.303 Fe
0.377 0.375 0.527 Fe
0.460 0.022 0.112 Fe
0.651 0.783 0.046 Fe
0.653 0.557 0.414 Fe
0.016 0.073 0.172 O
0.044 0.177 0.675 O
0.051 0.393 0.566 O
0.058 0.281 0.338 O
0.063 0.545 0.052 O
0.087 0.914 0.649 O
0.090 0.013 0.391 O
0.101 0.669 0.642 O
0.132 0.961 0.879 O
0.136 0.230 0.939 O
0.165 0.606 0.393 O
0.221 0.663 0.876 O
0.271 0.197 0.473 O
0.292 0.961 0.208 O
0.295 0.445 0.147 O
0.296 0.702 0.202 O
0.317 0.502 0.667 O
0.319 0.427 0.904 O
0.343 0.092 0.709 O
0.344 0.895 0.463 O
0.364 0.201 0.185 O
0.378 0.099 0.961 O
0.429 0.847 0.727 O
0.465 0.429 0.370 O
0.487 0.625 0.003 O
0.496 0.694 0.378 O
0.532 0.255 0.604 O
0.548 0.143 0.381 O
0.549 0.919 0.968 O
0.561 0.889 0.220 O
0.563 0.339 0.072 O
0.575 0.636 0.608 O
0.605 0.491 0.802 O
0.608 0.957 0.525 O
0.615 0.141 0.828 O
0.672 0.131 0.163 O
0.745 0.365 0.343 O
0.768 0.390 0.632 O
0.778 0.344 0.903 O
0.781 0.630 0.014 O
0.834 0.861 0.304 O
0.835 0.147 0.427 O
0.835 0.619 0.525 O
0.841 0.049 0.939 O
0.842 0.704 0.774 O
0.885 0.301 0.105 O
0.979 0.834 0.053 O
0.994 0.482 0.825 O
```

Values from the calculation:
ΔE to the lowest computed polymorph in eV per atom: 0.014
DFT formation energy in eV/atom: -1.831

***

Here is crystalline HfCrO3 at its relaxed geometry from the Materials Project database. Energies are from PBE+U.

```
HfCrO3
1.0
5.329 0.000 0.000
0.000 9.362 0.000
0.000 0.000 4.907
Hf Cr O
4 4 12
direct
0.044 0.250 0.048 Hf
0.456 0.750 0.548 Hf
0.544 0.250 0.452 Hf
0.956 0.750 0.952 Hf
0.000 0.000 0.500 Cr
0.000 0.500 0.500 Cr
0.500 0.000 0.000 Cr
0.500 0.500 0.000 Cr
0.140 0.750 0.306 O
0.221 0.604 0.786 O
0.221 0.896 0.786 O
0.279 0.104 0.286 O
0.279 0.396 0.286 O
0.360 0.250 0.806 O
0.640 0.750 0.194 O
0.721 0.604 0.714 O
0.721 0.896 0.714 O
0.779 0.104 0.214 O
0.779 0.396 0.214 O
0.860 0.250 0.694 O
```

Values from the calculation:
DFT formation energy in eV/atom: -3.103

***

Here is crystalline NaMgCo3O6 at its relaxed geometry from the Materials Project database. Energies are from PBE+U.

```
NaMgCo3O6
1.0
5.025 0.000 0.000
-2.482 4.429 0.000
-2.479 -1.516 5.128
Na Mg Co O
1 1 3 6
direct
0.000 0.000 0.000 Na
0.680 0.343 0.026 Mg
0.047 0.525 0.574 Co
0.333 0.171 0.504 Co
0.647 0.826 0.464 Co
0.176 0.424 0.305 O
0.182 0.242 0.733 O
0.492 0.938 0.713 O
0.547 0.131 0.302 O
0.778 0.546 0.722 O
0.873 0.767 0.302 O
```

Values from the calculation:
ΔE to the lowest computed polymorph in eV per atom: 0.000
DFT formation energy in eV/atom: -1.567

***

| no. | M_tot (μB/atom) |
| --- | --- |
| 1 | 0.04 |
| 2 | 0.80 |
| 3 | 0.36 |
| 4 | 1.28 |
| 5 | 0.00 |
| 6 | 0.73 |